Record 1
The following is a DFT calculation (r²SCAN) of a geometry-optimized TiGaRh2 structure.

Properties
**Magnetization**: 0.0 Bohr magnetons per cell
**Energy of formation from the pure elements**: -0.91 eV per atom
**Total energy**: -19.08 eV per atom

a b c (Å): 4.303 4.303 4.303
angles (deg): 60.00 60.00 60.00
Positions (direct):
Rh 0.000 0.000 0.000
Ti 0.750 0.750 0.750
Rh 0.500 0.500 0.500
Ga 0.250 0.250 0.250

***

Record 2
The following is a DFT calculation (r²SCAN) of a geometry-optimized NaNiO2 structure.

Properties
**Magnetization**: 1.0 Bohr magnetons per cell
**Energy of formation from the pure elements**: -1.41 eV per atom
**Total energy**: -8.28 eV per atom

a b c (Å): 5.446 5.446 5.444
angles (deg): 31.37 31.38 31.39
Positions (direct):
O 0.731 0.731 0.731
Ni 0.000 0.000 0.000
Na 0.500 0.500 0.500
O 0.269 0.269 0.269